Computed, not measured: a relaxed structure of CuBiPbS3 at the PBE level of DFT.

Calculated values
The calculation puts the total energy at -104.89 eV/cell. The energy relative to the elements is -0.604 eV per atom.

Structure (CIF):
```
data_CuBiPbS3
_cell_length_a 11.851
_cell_length_b 4.065
_cell_length_c 11.335
_cell_angle_alpha 90.00
_cell_angle_beta 90.00
_cell_angle_gamma 90.00
_space_group_name_H-M_alt 'P n m a'
_space_group_IT_number 62
loop_
_space_group_symop_operation_xyz
'x,y,z'
'-x,-y,-z'
'-x+1/2,-y,z+1/2'
'x+1/2,y,-z+1/2'
'x+1/2,-y+1/2,-z+1/2'
'-x+1/2,y+1/2,z+1/2'
'-x,y+1/2,-z'
'x,-y+1/2,z'
loop_
_atom_site_label
_atom_site_type_symbol
_atom_site_fract_x
_atom_site_fract_y
_atom_site_fract_z
Cu1 Cu 0.234 0.250 0.208
Bi1 Bi 0.017 0.250 0.683
Pb1 Pb 0.167 0.750 0.989
S1 S 0.047 0.250 0.144
S2 S 0.122 0.750 0.557
S3 S 0.215 0.250 0.799
```

=====

Computed, not measured: a relaxed structure of CuBi5PbS9 at the PBE level of DFT.

Calculated values
The calculation puts the total energy at -280.10 eV/cell. The energy relative to the elements is -0.629 eV per atom.

Structure (CIF):
```
data_CuBi5PbS9
_cell_length_a 11.689
_cell_length_b 4.039
_cell_length_c 33.570
_cell_angle_alpha 90.00
_cell_angle_beta 90.00
_cell_angle_gamma 90.00
_space_group_name_H-M_alt 'P n m a'
_space_group_IT_number 62
loop_
_space_group_symop_operation_xyz
'x,y,z'
'-x,-y,-z'
'-x+1/2,-y,z+1/2'
'x+1/2,y,-z+1/2'
'x+1/2,-y+1/2,-z+1/2'
'-x+1/2,y+1/2,z+1/2'
'-x,y+1/2,-z'
'x,-y+1/2,z'
loop_
_atom_site_label
_atom_site_type_symbol
_atom_site_fract_x
_atom_site_fract_y
_atom_site_fract_z
Cu1 Cu 0.221 0.250 0.238
Bi1 Bi 0.005 0.250 0.392
Bi2 Bi 0.020 0.250 0.056
Bi3 Bi 0.023 0.250 0.729
Bi4 Bi 0.150 0.750 0.155
Bi5 Bi 0.158 0.750 0.487
Pb1 Pb 0.183 0.750 0.835
S1 S 0.040 0.250 0.209
S2 S 0.050 0.250 0.882
S3 S 0.052 0.250 0.542
S4 S 0.106 0.750 0.351
S5 S 0.127 0.750 0.017
S6 S 0.129 0.750 0.687
S7 S 0.207 0.250 0.434
S8 S 0.213 0.250 0.103
S9 S 0.226 0.250 0.768
```

=====

Computed, not measured: a relaxed structure of Cu2Bi5Pb5S14 at the PBE level of DFT.

Calculated values
The calculation puts the total energy at -226.68 eV/cell. The energy relative to the elements is -0.625 eV per atom.

Structure (CIF):
```
data_Cu2Bi5Pb5S14
_cell_length_a 4.057
_cell_length_b 15.007
_cell_length_c 21.272
_cell_angle_alpha 90.00
_cell_angle_beta 90.00
_cell_angle_gamma 90.00
_space_group_name_H-M_alt 'P m c 21'
_space_group_IT_number 26
loop_
_space_group_symop_operation_xyz
'x,y,z'
'-x,-y,z+1/2'
'-x,y,z'
'x,-y,z+1/2'
loop_
_atom_site_label
_atom_site_type_symbol
_atom_site_fract_x
_atom_site_fract_y
_atom_site_fract_z
Cu1 Cu 0.000 0.078 0.000
Cu2 Cu 0.500 0.422 0.351
Bi1 Bi 0.000 0.142 0.708
Bi2 Bi 0.000 0.216 0.334
Bi3 Bi 0.000 0.412 0.484
Bi4 Bi 0.500 0.285 0.017
Bi5 Bi 0.500 0.354 0.648
Pb1 Pb 0.000 0.109 0.155
Pb2 Pb 0.000 0.355 0.841
Pb3 Pb 0.500 0.082 0.868
Pb4 Pb 0.500 0.142 0.511
Pb5 Pb 0.500 0.385 0.195
S1 S 0.000 0.012 0.788
S2 S 0.000 0.051 0.445
S3 S 0.000 0.218 0.937
S4 S 0.000 0.276 0.566
S5 S 0.000 0.297 0.111
S6 S 0.000 0.386 0.303
S7 S 0.000 0.441 0.708
S8 S 0.500 0.061 0.641
S9 S 0.500 0.114 0.048
S10 S 0.500 0.204 0.244
S11 S 0.500 0.233 0.781
S12 S 0.500 0.288 0.418
S13 S 0.500 0.451 0.908
S14 S 0.500 0.480 0.559
```

=====

Computed, not measured: a relaxed structure of CuBi3PbS6 at the PBE level of DFT.

Calculated values
The calculation puts the total energy at -96.26 eV/cell. The energy relative to the elements is -0.622 eV per atom. The value obtained for the energy above the most stable polymorph in this dataset is 0.000 eV per atom.

Structure (CIF):
```
data_CuBi3PbS6
_cell_length_a 4.042
_cell_length_b 11.159
_cell_length_c 11.808
_cell_angle_alpha 90.00
_cell_angle_beta 90.00
_cell_angle_gamma 90.00
_space_group_name_H-M_alt 'P m c 21'
_space_group_IT_number 26
loop_
_space_group_symop_operation_xyz
'x,y,z'
'-x,-y,z+1/2'
'-x,y,z'
'x,-y,z+1/2'
loop_
_atom_site_label
_atom_site_type_symbol
_atom_site_fract_x
_atom_site_fract_y
_atom_site_fract_z
Cu1 Cu 0.000 0.039 0.000
Bi1 Bi 0.000 0.422 0.288
Bi2 Bi 0.500 0.065 0.254
Bi3 Bi 0.500 0.287 0.923
Pb1 Pb 0.000 0.247 0.595
S1 S 0.000 0.122 0.820
S2 S 0.000 0.189 0.149
S3 S 0.000 0.444 0.982
S4 S 0.500 0.051 0.554
S5 S 0.500 0.299 0.389
S6 S 0.500 0.393 0.724
```

=====

Computed, not measured: a relaxed structure of Pr5CuBi3 at the PBE level of DFT.

Calculated values
The calculation puts the total energy at -92.02 eV/cell. The energy relative to the elements is -0.704 eV per atom.

Structure (CIF):
```
data_Pr5CuBi3
_cell_length_a 9.6950
_cell_length_b 9.6950
_cell_length_c 6.6440
_cell_angle_alpha 90.00
_cell_angle_beta 90.00
_cell_angle_gamma 120.00
_space_group_name_H-M_alt 'P 63/m c m'
_space_group_IT_number 193
_space_group_name_Hall '-P 6c 2'
loop_
_atom_site_label
_atom_site_type_symbol
_atom_site_fract_x
_atom_site_fract_y
_atom_site_fract_z
Pr1 Pr 0.0000 0.2575 0.2500
Pr2 Pr 0.3333 0.6667 0.0000
Cu1 Cu 0.0000 0.0000 0.0000
Bi1 Bi 0.0000 0.3847 0.7500
```

=====

Computed, not measured: a relaxed structure of Rb3Cu2Bi5S10 at the PBE level of DFT.

Calculated values
The calculation puts the total energy at -167.31 eV/cell. The energy relative to the elements is -0.836 eV per atom.

Structure (CIF):
```
data_Rb3Cu2Bi5S10
_cell_length_a 14.792
_cell_length_b 18.029
_cell_length_c 4.080
_cell_angle_alpha 90.00
_cell_angle_beta 90.00
_cell_angle_gamma 90.00
_space_group_name_H-M_alt 'P n n m'
_space_group_IT_number 58
loop_
_space_group_symop_operation_xyz
'x,y,z'
'-x,-y,-z'
'-x,-y,z'
'x,y,-z'
'x+1/2,-y+1/2,-z+1/2'
'-x+1/2,y+1/2,z+1/2'
'-x+1/2,y+1/2,-z+1/2'
'x+1/2,-y+1/2,z+1/2'
loop_
_atom_site_label
_atom_site_type_symbol
_atom_site_fract_x
_atom_site_fract_y
_atom_site_fract_z
Rb1 Rb 0.000 0.000 0.000
Rb2 Rb 0.024 0.251 0.500
Cu1 Cu 0.220 0.745 0.000
Bi1 Bi 0.000 0.500 0.000
Bi2 Bi 0.216 0.594 0.500
Bi3 Bi 0.238 0.895 0.500
S1 S 0.096 0.637 0.000
S2 S 0.119 0.445 0.500
S3 S 0.128 0.850 0.000
S4 S 0.170 0.033 0.500
S5 S 0.204 0.228 0.000
```